## Li2Mn3B3O9 (PBE with a Hubbard U)

Data for crystalline Li2Mn3B3O9 at its relaxed geometry.

Cell lengths 6.146, 7.875, 9.018 Å; angles 114.07, 103.26, 99.31 degrees
Space group P-1 (No. 2)
Symmetry-distinct sites (fractional):
Li: 0.003 0.319 0.437 x2
Li: 0.333 0.005 0.214 x2
Mn: 0.077 0.323 0.096 x2
Mn: 0.288 0.048 0.576 x2
Mn: 0.383 0.632 0.786 x2
B: 0.021 0.297 0.763 x2
B: 0.269 0.026 0.899 x2
B: 0.376 0.636 0.446 x2
O: 0.018 0.198 0.594 x2
O: 0.064 0.802 0.158 x2
O: 0.120 0.499 0.851 x2
O: 0.146 0.830 0.820 x2
O: 0.252 0.555 0.521 x2
O: 0.280 0.147 0.071 x2
O: 0.361 0.526 0.274 x2
O: 0.404 0.103 0.829 x2
O: 0.489 0.170 0.468 x2

Properties
Corrected total energy (MP2020 scheme) (eV per atom): -8.102
Formation energy (kJ/mol of atoms): -237.6
Final energy (eV per atom): -7.44

## LiMn2B2O6 (PBE with a Hubbard U)

Data for crystalline LiMn2B2O6 at its relaxed geometry.

Cell lengths 5.791, 9.795, 9.806 Å; angles 65.29, 80.14, 81.01 degrees
Space group P1 (No. 1)
Symmetry-distinct sites (fractional):
Li: 0.000 0.000 0.000 x1
Li: 0.003 0.493 0.501 x1
Li: 0.502 0.999 0.506 x1
Li: 0.880 0.392 0.069 x1
Mn: 0.121 0.066 0.237 x1
Mn: 0.121 0.581 0.723 x1
Mn: 0.279 0.314 0.331 x1
Mn: 0.282 0.794 0.850 x1
Mn: 0.599 0.588 0.224 x1
Mn: 0.613 0.075 0.732 x1
Mn: 0.759 0.318 0.839 x1
Mn: 0.769 0.807 0.341 x1
B: 0.098 0.657 0.167 x1
B: 0.106 0.152 0.664 x1
B: 0.267 0.241 0.902 x1
B: 0.275 0.732 0.398 x1
B: 0.609 0.656 0.658 x1
B: 0.612 0.146 0.167 x1
B: 0.778 0.239 0.391 x1
B: 0.787 0.729 0.901 x1
O: 0.074 0.355 0.876 x1
O: 0.082 0.842 0.367 x1
O: 0.108 0.792 0.044 x1
O: 0.110 0.285 0.538 x1
O: 0.248 0.105 0.018 x1
O: 0.260 0.595 0.512 x1
O: 0.275 0.540 0.189 x1
O: 0.282 0.033 0.683 x1
O: 0.427 0.636 0.775 x1
O: 0.430 0.127 0.288 x1
O: 0.471 0.270 0.798 x1
O: 0.479 0.770 0.294 x1
O: 0.592 0.353 0.353 x1
O: 0.593 0.839 0.869 x1
O: 0.615 0.795 0.539 x1
O: 0.629 0.285 0.050 x1
O: 0.758 0.107 0.511 x1
O: 0.782 0.027 0.177 x1
O: 0.782 0.537 0.669 x1
O: 0.782 0.596 0.022 x1
O: 0.912 0.634 0.285 x1
O: 0.922 0.136 0.784 x1
O: 0.983 0.268 0.281 x1
O: 0.991 0.762 0.795 x1

Properties
Corrected total energy (MP2020 scheme) (eV per atom): -8.179
Formation energy (kJ/mol of atoms): -234.1
Final energy (eV per atom): -7.50

## Li5Mn6B6O18 (PBE with a Hubbard U)

Data for crystalline Li5Mn6B6O18 at its relaxed geometry.

Cell lengths 8.811, 8.873, 10.473 Å; angles 98.85, 98.50, 107.89 degrees
Space group P1 (No. 1)
Symmetry-distinct sites (fractional):
Li: 0.000 0.000 0.000 x1
Li: 0.014 0.697 0.285 x1
Li: 0.251 0.248 0.253 x1
Li: 0.266 0.944 0.531 x1
Li: 0.295 0.558 0.876 x1
Li: 0.515 0.204 0.786 x1
Li: 0.542 0.803 0.126 x1
Li: 0.750 0.752 0.761 x1
Li: 0.767 0.451 0.035 x1
Li: 0.789 0.050 0.370 x1
Mn: 0.221 0.200 0.870 x1
Mn: 0.221 0.560 0.513 x1
Mn: 0.246 0.868 0.155 x1
Mn: 0.467 0.816 0.756 x1
Mn: 0.470 0.444 0.125 x1
Mn: 0.488 0.136 0.412 x1
Mn: 0.713 0.068 0.015 x1
Mn: 0.717 0.691 0.385 x1
Mn: 0.751 0.365 0.653 x1
Mn: 0.972 0.314 0.273 x1
Mn: 0.976 0.963 0.615 x1
Mn: 0.998 0.613 0.908 x1
B: 0.060 0.034 0.335 x1
B: 0.184 0.835 0.799 x1
B: 0.186 0.502 0.140 x1
B: 0.310 0.289 0.600 x1
B: 0.439 0.087 0.054 x1
B: 0.443 0.764 0.388 x1
B: 0.566 0.547 0.854 x1
B: 0.685 0.009 0.639 x1
B: 0.695 0.342 0.319 x1
B: 0.812 0.791 0.101 x1
B: 0.924 0.252 0.892 x1
B: 0.928 0.586 0.550 x1
O: 0.002 0.138 0.852 x1
O: 0.013 0.485 0.516 x1
O: 0.072 0.123 0.229 x1
O: 0.114 0.843 0.922 x1
O: 0.115 0.519 0.261 x1
O: 0.134 0.913 0.332 x1
O: 0.173 0.940 0.711 x1
O: 0.183 0.603 0.047 x1
O: 0.251 0.339 0.730 x1
O: 0.261 0.383 0.111 x1
O: 0.265 0.723 0.767 x1
O: 0.305 0.360 0.482 x1
O: 0.369 0.101 0.177 x1
O: 0.371 0.765 0.506 x1
O: 0.380 0.161 0.589 x1
O: 0.433 0.194 0.968 x1
O: 0.435 0.869 0.301 x1
O: 0.488 0.576 0.970 x1
O: 0.514 0.968 0.018 x1
O: 0.526 0.652 0.349 x1
O: 0.580 0.650 0.766 x1
O: 0.619 0.024 0.763 x1
O: 0.634 0.418 0.832 x1
O: 0.635 0.360 0.452 x1
O: 0.685 0.454 0.236 x1
O: 0.688 0.119 0.555 x1
O: 0.733 0.820 0.217 x1
O: 0.753 0.881 0.595 x1
O: 0.761 0.218 0.271 x1
O: 0.821 0.884 0.999 x1
O: 0.857 0.588 0.673 x1
O: 0.864 0.267 0.023 x1
O: 0.883 0.667 0.086 x1
O: 0.905 0.357 0.804 x1
O: 0.907 0.692 0.461 x1
O: 0.974 0.063 0.437 x1

Properties
Corrected total energy (MP2020 scheme) (eV per atom): -7.693
Formation energy (kJ/mol of atoms): -208.4
Final energy (eV per atom): -7.05

## Li3MnB5O10 (PBE with a Hubbard U)

Data for crystalline Li3MnB5O10 at its relaxed geometry.

Cell lengths 6.988, 7.190, 9.466 Å; angles 80.60, 69.26, 62.23 degrees
Space group P-1 (No. 2)
Symmetry-distinct sites (fractional):
Li: 0.026 0.181 0.467 x2
Li: 0.201 0.988 0.840 x2
Li: 0.221 0.508 0.245 x2
Mn: 0.223 0.521 0.880 x2
B: 0.220 0.172 0.137 x2
B: 0.260 0.277 0.600 x2
B: 0.305 0.816 0.075 x2
B: 0.362 0.758 0.569 x2
B: 0.407 0.866 0.295 x2
O: 0.053 0.301 0.619 x2
O: 0.136 0.380 0.106 x2
O: 0.221 0.753 0.708 x2
O: 0.233 0.033 0.042 x2
O: 0.267 0.710 0.995 x2
O: 0.270 0.844 0.450 x2
O: 0.300 0.091 0.258 x2
O: 0.350 0.207 0.722 x2
O: 0.403 0.314 0.461 x2
O: 0.405 0.730 0.190 x2

Properties
Corrected total energy (MP2020 scheme) (eV per atom): -7.813
Formation energy (kJ/mol of atoms): -257.4
Final energy (eV per atom): -7.36